# 1
Entry from the Materials Project: a relaxed structure of BiWO5 (PBE with a Hubbard U).

Energy above the most stable polymorph in this dataset in meV per atom: 0.0
Space group: P2_1/c, No. 14
Calculated volume in Å³ per atom: 20.8
Formation energy from the elements in kJ/mol of formula units: -1084.3

Unit cell a=11.4638 b=5.7598 c=9.3385 alpha=70.82 beta=90.00 gamma=90.00
Last column: nearest neighbours and their distance in Å.
Atoms (fractional coordinates):
Bi (0.9124, 0.0034, 0.8323)  4 O 2.17-2.37
Bi (0.0876, 0.9966, 0.1677)  4 O 2.17-2.37
Bi (0.5876, 0.0034, 0.3323)  4 O 2.17-2.37
Bi (0.4124, 0.9966, 0.6677)  4 O 2.17-2.37
W (0.3541, 0.1654, 0.0523)  4 O 1.80-1.85
W (0.6459, 0.8346, 0.9477)  4 O 1.80-1.85
W (0.8541, 0.8346, 0.4477)  4 O 1.80-1.85
W (0.1459, 0.1654, 0.5523)  4 O 1.80-1.85
O (0.9093, 0.8365, 0.6316)  1 W 1.83
O (0.0348, 0.2644, 0.6638)  1 W 1.85
O (0.7950, 0.1315, 0.3380)  1 W 1.81
O (0.4482, 0.8311, 0.4887)  2 Bi 2.17-2.22, 1 O 2.35
O (0.7229, 0.6535, 0.4699)  1 W 1.80
O (0.7771, 0.6535, 0.9699)  1 W 1.80
O (0.4652, 0.2644, 0.1638)  1 W 1.85
O (0.5348, 0.7356, 0.8362)  1 W 1.85
O (0.5518, 0.1689, 0.5113)  2 Bi 2.17-2.22, 1 O 2.35
O (0.4093, 0.1635, 0.8684)  1 W 1.83
O (0.2771, 0.3465, 0.5301)  1 W 1.80
O (0.0907, 0.1635, 0.3684)  1 W 1.83
O (0.5907, 0.8365, 0.1316)  1 W 1.83
O (0.2229, 0.3465, 0.0301)  1 W 1.80
O (0.9482, 0.1689, 0.0113)  2 Bi 2.17-2.22, 1 O 2.35
O (0.0518, 0.8311, 0.9887)  2 Bi 2.17-2.22, 1 O 2.35
O (0.2050, 0.8685, 0.6620)  1 W 1.81
O (0.9652, 0.7356, 0.3362)  1 W 1.85
O (0.2950, 0.8685, 0.1620)  1 W 1.81
O (0.7050, 0.1315, 0.8380)  1 W 1.81

---

# 2
Entry from the Materials Project: a relaxed structure of Mo3C7Br3NCl3O7 (PBE with a Hubbard U).

Space group: P-1, No. 2
Calculated volume in Å³ per atom: 26.9
Formation energy from the elements in kJ/mol of formula units: -742.3

Unit cell a=7.2480 b=12.9821 c=14.4714 alpha=98.47 beta=92.64 gamma=105.74
Last column: nearest neighbours and their distance in Å.
Atoms (fractional coordinates):
Mo (0.2483, 0.8096, 0.7287)  1 O 2.13, 1 Cl 2.37
Mo (0.7517, 0.1904, 0.2713)  1 O 2.13, 1 Cl 2.37
Mo (0.3479, 0.5583, 0.7064)  1 O 2.22, 1 Cl 2.42
Mo (0.6521, 0.4417, 0.2936)  1 O 2.22, 1 Cl 2.42
Mo (0.3972, 0.7190, 0.9293)  1 O 2.11
Mo (0.6028, 0.2810, 0.0707)  1 O 2.11
C (0.9453, 0.6038, 0.6208)  2 O 1.17-1.19
C (0.0547, 0.3962, 0.3792)  2 O 1.17-1.19
C (0.1786, 0.4719, 0.9037)  2 O 1.17-1.19
C (0.8214, 0.5281, 0.0963)  2 O 1.17-1.19
C (0.0639, 0.8330, 0.9434)  2 O 1.17-1.19
C (0.9361, 0.1670, 0.0566)  2 O 1.17-1.19
C (0.9564, 0.1945, 0.6360)  2 C 1.48-1.49
C (0.0436, 0.8055, 0.3640)  2 C 1.48-1.49
C (0.7554, 0.0711, 0.6317)  2 C 1.49
C (0.2446, 0.9289, 0.3683)  2 C 1.49
C (0.9132, 0.1224, 0.7073)  2 C 1.48-1.49, 1 N 1.57
C (0.0868, 0.8776, 0.2927)  2 C 1.48-1.49, 1 N 1.57
C (0.7574, 0.1697, 0.5904)  2 C 1.49, 1 N 1.54
C (0.2426, 0.8303, 0.4096)  2 C 1.49, 1 N 1.54
Br (0.4291, 0.7241, 0.6043)  2 Mo 2.57-2.74
Br (0.5709, 0.2759, 0.3957)  2 Mo 2.57-2.74
Br (0.5167, 0.9054, 0.8680)  2 Mo 2.64
Br (0.4833, 0.0946, 0.1320)  2 Mo 2.64
Br (0.6321, 0.6130, 0.8604)  2 Mo 2.61-2.83
Br (0.3679, 0.3870, 0.1396)  2 Mo 2.61-2.83
N (0.7645, 0.1897, 0.6985)  4 C 1.54-1.69
N (0.2355, 0.8103, 0.3015)  4 C 1.54-1.69
Cl (0.2076, 0.9649, 0.6726)  1 Mo 2.37
Cl (0.7924, 0.0351, 0.3274)  1 Mo 2.37
Cl (0.4296, 0.4115, 0.6091)  1 Mo 2.42
Cl (0.5704, 0.5885, 0.3909)  1 Mo 2.42
Cl (0.5619, 0.7645, 0.0841)  1 Mo 2.40
Cl (0.4381, 0.2355, 0.9159)  1 Mo 2.40
O (0.9551, 0.6974, 0.6408)  1 C 1.19
O (0.0449, 0.3026, 0.3592)  1 C 1.19
O (0.9397, 0.5124, 0.6026)  1 C 1.17
O (0.0603, 0.4876, 0.3974)  1 C 1.17
O (0.1389, 0.3990, 0.8419)  1 C 1.17
O (0.8611, 0.6010, 0.1581)  1 C 1.17
O (0.2172, 0.5468, 0.9665)  1 C 1.19
O (0.7828, 0.4532, 0.0335)  1 C 1.19
O (0.1344, 0.7869, 0.9936)  1 C 1.19
O (0.8656, 0.2131, 0.0064)  1 C 1.19
O (0.9988, 0.8786, 0.8924)  1 C 1.17
O (0.0012, 0.1214, 0.1076)  1 C 1.17
O (0.2321, 0.6737, 0.7981)  3 Mo 2.11-2.22
O (0.7679, 0.3263, 0.2019)  3 Mo 2.11-2.22

---

# 3
Entry from the Materials Project: a relaxed structure of CoH24C6Br2N4O6 (PBE with a Hubbard U).

Space group: Cmcm, No. 63
Calculated volume in Å³ per atom: 13.3
Formation energy from the elements in kJ/mol of formula units: -2407.0

Unit cell a=9.0800 b=9.0800 c=14.9143 alpha=90.00 beta=90.00 gamma=111.15
Last column: nearest neighbours and their distance in Å.
Atoms (fractional coordinates):
Co (0.0000, 0.0000, 0.5000)  2 N 2.03, 4 O 2.14-2.20
Co (0.0000, 0.0000, 0.0000)  2 N 2.03, 4 O 2.14-2.20
H (0.4089, 0.6312, 0.3917)  1 C 1.10
H (0.3688, 0.5911, 0.6083)  1 C 1.10
H (0.4089, 0.6312, 0.1083)  1 C 1.10
H (0.3688, 0.5911, 0.8917)  1 C 1.10
H (0.5911, 0.3688, 0.6083)  1 C 1.10
H (0.6312, 0.4089, 0.3917)  1 C 1.10
H (0.5911, 0.3688, 0.8917)  1 C 1.10
H (0.6312, 0.4089, 0.1083)  1 C 1.10
H (0.4461, 0.8380, 0.3991)  1 C 1.09
H (0.1620, 0.5539, 0.6009)  1 C 1.09
H (0.4461, 0.8380, 0.1009)  1 C 1.09
H (0.1620, 0.5539, 0.8991)  1 C 1.09
H (0.5539, 0.1620, 0.6009)  1 C 1.09
H (0.8380, 0.4461, 0.3991)  1 C 1.09
H (0.5539, 0.1620, 0.8991)  1 C 1.09
H (0.8380, 0.4461, 0.1009)  1 C 1.09
H (0.5408, 0.7485, 0.4760)  1 C 1.10
H (0.2515, 0.4592, 0.5240)  1 C 1.10
H (0.5408, 0.7485, 0.0240)  1 C 1.10
H (0.2515, 0.4592, 0.9760)  1 C 1.10
H (0.4592, 0.2515, 0.5240)  1 C 1.10
H (0.7485, 0.5408, 0.4760)  1 C 1.10
H (0.4592, 0.2515, 0.9760)  1 C 1.10
H (0.7485, 0.5408, 0.0240)  1 C 1.10
H (0.6607, 0.0402, 0.2500)  1 O 0.99
H (0.9598, 0.3393, 0.7500)  1 O 0.99
H (0.3393, 0.9598, 0.7500)  1 O 0.99
H (0.0402, 0.6607, 0.2500)  1 O 0.99
H (0.8435, 0.1366, 0.2500)  1 O 0.99
H (0.8634, 0.1565, 0.7500)  1 O 0.99
H (0.1565, 0.8634, 0.7500)  1 O 0.99
H (0.1366, 0.8435, 0.2500)  1 O 0.99
H (0.8237, 0.9288, 0.3479)  1 O 0.99
H (0.0712, 0.1763, 0.6521)  1 O 0.99
H (0.8237, 0.9288, 0.1521)  1 O 0.99
H (0.0712, 0.1763, 0.8479)  1 O 0.99
H (0.1763, 0.0712, 0.6521)  1 O 0.99
H (0.9288, 0.8237, 0.3479)  1 O 0.99
H (0.1763, 0.0712, 0.8479)  1 O 0.99
H (0.9288, 0.8237, 0.1521)  1 O 0.99
H (0.2401, 0.1358, 0.3729)  1 O 0.99
H (0.8642, 0.7599, 0.6271)  1 O 0.99
H (0.2401, 0.1358, 0.1271)  1 O 0.99
H (0.8642, 0.7599, 0.8729)  1 O 0.99
H (0.7599, 0.8642, 0.6271)  1 O 0.99
H (0.1358, 0.2401, 0.3729)  1 O 0.99
H (0.7599, 0.8642, 0.8729)  1 O 0.99
H (0.1358, 0.2401, 0.1271)  1 O 0.99
C (0.4327, 0.7315, 0.4377)  3 H 1.09-1.10
C (0.2685, 0.5673, 0.5623)  3 H 1.09-1.10
C (0.4327, 0.7315, 0.0623)  3 H 1.09-1.10
C (0.2685, 0.5673, 0.9377)  3 H 1.09-1.10
C (0.5673, 0.2685, 0.5623)  3 H 1.09-1.10
C (0.7315, 0.4327, 0.4377)  3 H 1.09-1.10
C (0.5673, 0.2685, 0.9377)  3 H 1.09-1.10
C (0.7315, 0.4327, 0.0623)  3 H 1.09-1.10
C (0.2137, 0.7863, 0.5000)  2 N 1.17-1.30
C (0.2137, 0.7863, 0.0000)  2 N 1.17-1.30
C (0.7863, 0.2137, 0.5000)  2 N 1.17-1.30
C (0.7863, 0.2137, 0.0000)  2 N 1.17-1.30
Br (0.3969, 0.0771, 0.2500)  4 H 2.49-2.54
Br (0.9229, 0.6031, 0.7500)  4 H 2.49-2.54
Br (0.6031, 0.9229, 0.7500)  4 H 2.49-2.54
Br (0.0771, 0.3969, 0.2500)  4 H 2.49-2.54
N (0.3003, 0.6997, 0.5000)  1 C 1.30
N (0.3003, 0.6997, 0.0000)  1 C 1.30
N (0.6997, 0.3003, 0.5000)  1 C 1.30
N (0.6997, 0.3003, 0.0000)  1 C 1.30
N (0.1353, 0.8647, 0.5000)  1 C 1.17
N (0.1353, 0.8647, 0.0000)  1 C 1.17
N (0.8647, 0.1353, 0.5000)  1 C 1.17
N (0.8647, 0.1353, 0.0000)  1 C 1.17
O (0.8697, 0.8697, 0.3879)  2 H 0.99
O (0.1303, 0.1303, 0.6121)  2 H 0.99
O (0.8697, 0.8697, 0.1121)  2 H 0.99
O (0.1303, 0.1303, 0.8879)  2 H 0.99
O (0.1718, 0.1718, 0.4119)  2 H 0.99
O (0.8282, 0.8282, 0.5881)  2 H 0.99
O (0.1718, 0.1718, 0.0881)  2 H 0.99
O (0.8282, 0.8282, 0.9119)  2 H 0.99
O (0.7646, 0.0280, 0.2500)  2 H 0.99
O (0.9720, 0.2354, 0.7500)  2 H 0.99
O (0.2354, 0.9720, 0.7500)  2 H 0.99
O (0.0280, 0.7646, 0.2500)  2 H 0.99